Record 1
# KICl2 | Materials Project | r2SCAN | relaxed
# Symmetry: P2_1/c, No. 14
# E, eV/atom: -11.92
# Total moment, μB/cell: 0.00
# Calculated formation energy, eV per atom: -1.1955
data_KICl2
_chemical_formula_sum 'K8 I8 Cl16'
_cell_length_a 8.474
_cell_length_b 11.092
_cell_length_c 12.201
_cell_angle_alpha 90.00
_cell_angle_beta 107.71
_cell_angle_gamma 90.00
_symmetry_space_group_name_H-M 'P 1'
_symmetry_Int_Tables_number 1
_symmetry_space_group_name_Hall 'P 1'
loop_
_atom_site_label
_atom_site_fract_x
_atom_site_fract_y
_atom_site_fract_z
_atom_site_occupancy
K1 0.031 0.200 0.412 1
K2 0.031 0.300 0.912 1
K3 0.460 0.053 0.191 1
K4 0.460 0.447 0.691 1
K5 0.540 0.553 0.309 1
K6 0.540 0.947 0.809 1
K7 0.969 0.700 0.088 1
K8 0.969 0.800 0.588 1
I1 0.131 0.518 0.384 1
I2 0.131 0.982 0.884 1
I3 0.284 0.600 0.918 1
I4 0.284 0.900 0.418 1
I5 0.716 0.100 0.582 1
I6 0.716 0.400 0.082 1
I7 0.869 0.018 0.116 1
I8 0.869 0.482 0.616 1
Cl1 0.104 0.174 0.166 1
Cl2 0.104 0.326 0.666 1
Cl3 0.237 0.009 0.590 1
Cl4 0.237 0.491 0.090 1
Cl5 0.324 0.703 0.739 1
Cl6 0.324 0.797 0.239 1
Cl7 0.363 0.141 0.933 1
Cl8 0.363 0.359 0.433 1
Cl9 0.637 0.641 0.567 1
Cl10 0.637 0.859 0.067 1
Cl11 0.676 0.203 0.761 1
Cl12 0.676 0.297 0.261 1
Cl13 0.763 0.509 0.910 1
Cl14 0.763 0.991 0.410 1
Cl15 0.896 0.674 0.334 1
Cl16 0.896 0.826 0.834 1

---

Record 2
# Al2O3 | Materials Project | r2SCAN | relaxed
# Symmetry: Pna2_1, No. 33
# E, eV/atom: -9.61
# Total moment, μB/cell: 0.00
# Calculated formation energy, eV per atom: -3.3290
data_Al2O3
_chemical_formula_sum 'Al16 O24'
_cell_length_a 4.833
_cell_length_b 8.303
_cell_length_c 8.924
_cell_angle_alpha 90.00
_cell_angle_beta 90.00
_cell_angle_gamma 90.00
_symmetry_space_group_name_H-M 'P 1'
_symmetry_Int_Tables_number 1
_symmetry_space_group_name_Hall 'P 1'
loop_
_atom_site_label
_atom_site_fract_x
_atom_site_fract_y
_atom_site_fract_z
_atom_site_occupancy
Al1 0.173 0.030 0.000 1
Al2 0.177 0.348 0.201 1
Al3 0.184 0.660 0.010 1
Al4 0.186 0.346 0.788 1
Al5 0.314 0.846 0.288 1
Al6 0.316 0.160 0.510 1
Al7 0.323 0.848 0.701 1
Al8 0.327 0.530 0.500 1
Al9 0.673 0.470 0.000 1
Al10 0.677 0.152 0.201 1
Al11 0.684 0.840 0.010 1
Al12 0.686 0.154 0.788 1
Al13 0.814 0.654 0.288 1
Al14 0.816 0.340 0.510 1
Al15 0.823 0.652 0.701 1
Al16 0.827 0.970 0.500 1
O1 0.019 0.168 0.141 1
O2 0.020 0.824 0.129 1
O3 0.022 0.488 0.635 1
O4 0.157 0.339 0.400 1
O5 0.157 0.668 0.374 1
O6 0.157 0.999 0.405 1
O7 0.343 0.168 0.874 1
O8 0.343 0.499 0.905 1
O9 0.343 0.839 0.900 1
O10 0.478 0.988 0.135 1
O11 0.480 0.324 0.629 1
O12 0.481 0.668 0.641 1
O13 0.519 0.332 0.141 1
O14 0.520 0.676 0.129 1
O15 0.522 0.012 0.635 1
O16 0.657 0.161 0.400 1
O17 0.657 0.501 0.405 1
O18 0.657 0.832 0.374 1
O19 0.843 0.001 0.905 1
O20 0.843 0.332 0.874 1
O21 0.843 0.661 0.900 1
O22 0.978 0.512 0.135 1
O23 0.980 0.176 0.629 1
O24 0.981 0.832 0.641 1

---

> Which formula does entry 2 have?

Al2O3